No. 1
A relaxed structure of HfAl3, computed with PBE.

Structure (extended XYZ):
```
4
Lattice="-0.810 1.037 3.876 -3.970 0.371 -0.929 -0.587 -3.943 0.932" Properties=species:S:1:pos:R:3 pbc="T T T"
Al -2.278 -1.786 0.002
Hf 0.000 0.000 0.000
Al -0.698 -1.453 2.404
Al -2.390 0.704 1.474
```

Values from the calculation:
DFT total energy: -5.671 eV per atom
E_form: -372.1 meV/atom
V: 17.1 Å³ per atom

***

No. 2
A relaxed structure of HfAl3, computed with PBE.

Structure (extended XYZ):
```
8
Lattice="-1.999 1.999 8.609 1.999 -1.999 8.609 1.999 1.999 -8.609" Properties=species:S:1:pos:R:3 pbc="T T T"
Al 0.000 1.999 4.304
Al 0.000 0.000 6.448
Al 0.000 1.999 0.000
Al 0.000 0.000 10.770
Al 1.999 0.000 0.000
Hf 0.000 0.000 2.062
Hf 0.000 0.000 15.156
Al 1.999 0.000 4.304
```

Values from the calculation:
DFT total energy: -5.694 eV per atom
E_form: -395.3 meV/atom
V: 17.2 Å³ per atom

***

No. 3
A relaxed structure of HfAlIr2, computed with PBE.

Structure (extended XYZ):
```
4
Lattice="0.000 3.172 3.172 3.172 0.000 3.172 3.172 3.172 0.000" Properties=species:S:1:pos:R:3 pbc="T T T"
Ir 1.586 1.586 1.586
Hf 0.000 0.000 0.000
Ir 4.758 4.758 4.758
Al 3.172 3.172 3.172
```

Values from the calculation:
DFT total energy: -8.771 eV per atom
E_form: -925.6 meV/atom
V: 16.0 Å³ per atom

***

No. 4
A relaxed structure of HfMg6Al, computed with PBE.

Structure (extended XYZ):
```
16
Lattice="5.026 0.000 0.000 0.000 6.088 0.000 0.000 0.000 11.178" Properties=species:S:1:pos:R:3 pbc="T T T"
Mg 0.000 0.000 3.672
Mg 0.000 3.044 9.261
Mg 2.513 4.571 10.272
Hf 2.513 3.044 1.914
Mg 0.000 3.044 3.687
Al 2.513 3.044 7.452
Mg 0.000 0.000 9.275
Al 2.513 0.000 1.863
Mg 0.000 4.579 6.516
Mg 0.000 1.510 6.516
Mg 0.000 4.554 0.927
Hf 2.513 0.000 7.503
Mg 2.513 1.527 4.683
Mg 2.513 1.517 10.272
Mg 0.000 1.534 0.927
Mg 2.513 4.562 4.683
```

Values from the calculation:
DFT total energy: -2.859 eV per atom
E_form: 54.0 meV/atom
V: 21.4 Å³ per atom
Energy above the lowest structure with this stoichiometry: 0 meV/atom

***

No. 5
A relaxed structure of HfMg6Al, computed with PBE.

Structure (extended XYZ):
```
16
Lattice="-3.928 -0.696 2.891 -2.446 -4.020 -4.290 5.119 -8.382 4.937" Properties=species:S:1:pos:R:3 pbc="T T T"
Al 4.210 -6.895 4.061
Mg 3.040 -8.991 1.966
Mg 0.892 -11.073 2.745
Mg -1.650 -6.854 0.306
Mg 2.132 -9.035 4.920
Mg 1.704 -2.790 1.643
Hf 1.489 -6.002 4.775
Mg 2.381 -5.893 1.816
Mg -1.113 -1.742 2.267
Al 0.428 -4.714 -0.553
Mg -0.186 -1.714 -0.665
Hf -2.294 -3.821 0.162
Mg 1.150 -7.915 -0.342
Mg -0.444 -4.871 2.422
Mg -1.402 -3.712 -2.798
Mg 0.224 -7.944 2.590
```

Values from the calculation:
DFT total energy: -2.857 eV per atom
E_form: 56.4 meV/atom
V: 21.6 Å³ per atom
Energy above the lowest structure with this stoichiometry: 2 meV/atom

***

No. 6
A relaxed structure of HfAlMo, computed with PBE.

Structure (extended XYZ):
```
12
Lattice="-2.076 3.851 3.018 -2.458 -1.552 -4.449 -4.474 -5.987 4.561" Properties=species:S:1:pos:R:3 pbc="T T T"
Mo -5.638 -1.756 0.568
Mo -3.436 -2.872 1.263
Hf -3.612 0.185 1.997
Hf -3.164 -0.861 -1.099
Hf -5.970 -4.615 1.760
Mo -2.140 2.936 1.754
Al -1.128 1.048 0.269
Mo -4.630 -3.629 -0.901
Al -3.340 2.169 -0.429
Hf -5.266 -2.029 3.683
Al -5.437 -0.665 6.415
Al -3.192 2.339 4.127
```

Values from the calculation:
DFT total energy: -8.511 eV per atom
E_form: -327.8 meV/atom
V: 17.8 Å³ per atom

***

No. 7
A relaxed structure of Hf3AlMo8, computed with PBE.

Structure (extended XYZ):
```
12
Lattice="8.836 -2.666 0.000 8.836 2.666 0.000 8.032 0.000 4.547" Properties=species:S:1:pos:R:3 pbc="T T T"
Mo 15.640 1.329 1.987
Al 22.486 0.000 3.978
Mo 15.239 0.000 4.254
Mo 4.806 0.000 0.850
Mo 20.107 0.000 1.999
Mo 15.640 -1.329 1.987
Mo 19.706 -1.328 4.265
Hf 25.682 0.000 4.543
Mo 19.706 1.328 4.265
Hf 12.869 0.000 2.276
Hf 9.634 0.000 1.704
Mo 17.688 0.000 3.129
```

Values from the calculation:
DFT total energy: -10.115 eV per atom
E_form: -83.1 meV/atom
V: 17.9 Å³ per atom

***

No. 8
A relaxed structure of Hf5Al3N, computed with PBE.

Structure (extended XYZ):
```
18
Lattice="4.045 -7.006 0.000 4.045 7.006 0.000 0.000 0.000 5.666" Properties=species:S:1:pos:R:3 pbc="T T T"
Hf 0.907 1.570 1.417
N 0.000 0.000 0.000
N 0.000 0.000 2.833
Hf 4.045 -2.335 2.833
Hf 3.138 -5.436 4.250
Hf 0.907 -1.570 1.417
Al 2.413 -4.180 1.417
Al 3.263 0.000 1.417
Hf 1.813 0.000 4.250
Hf 4.045 2.335 0.000
Al 2.413 4.180 1.417
Hf 6.276 0.000 1.417
Al 1.632 2.826 4.250
Hf 4.045 2.335 2.833
Al 1.632 -2.826 4.250
Hf 3.138 5.436 4.250
Al 4.827 0.000 4.250
Hf 4.045 -2.335 0.000
```

Values from the calculation:
DFT total energy: -8.380 eV per atom
E_form: -713.6 meV/atom
V: 17.8 Å³ per atom

***

- Look up the V of the seventh one.
  17.9 Å³ per atom

***

- Number 2 is which compound?
  HfAl3